# 1
Here is an optimized crystal structure of TiNCl from the Materials Project database. Energies are from meta-GGA r2SCAN.

Geometry as POSCAR:
```
TiNCl
1.0
3.266 0.000 0.000
0.000 3.942 0.000
0.000 0.000 8.096
Ti N Cl
2 2 2
Direct
0.250 0.250 0.096
0.750 0.750 0.904
0.250 0.750 0.046
0.750 0.250 0.954
0.250 0.750 0.678
0.750 0.250 0.322
```

Properties
The total energy is -11.179 eV per atom. As for the formation enthalpy at 0 K: -1.77 eV/atom. As for the space group: Pmmn, No. 59.

# 2
Here is an optimized crystal structure of NaAsSe2 from the Materials Project database. Energies are from meta-GGA r2SCAN.

Geometry as POSCAR:
```
NaAsSe2
1.0
11.763 0.000 0.000
0.000 5.991 0.000
-0.206 0.000 11.980
Na As Se
8 8 16
Direct
0.000 0.000 0.000
0.000 0.000 0.500
0.243 0.486 0.496
0.243 0.514 0.996
0.501 0.023 0.477
0.501 0.977 0.977
0.741 0.030 0.241
0.741 0.970 0.741
0.230 0.045 0.779
0.230 0.955 0.279
0.478 0.405 0.745
0.478 0.595 0.245
0.733 0.425 0.966
0.733 0.575 0.466
0.980 0.482 0.791
0.980 0.518 0.291
0.017 0.087 0.751
0.017 0.913 0.251
0.251 0.016 0.973
0.251 0.984 0.473
0.267 0.446 0.747
0.267 0.554 0.247
0.490 0.019 0.728
0.490 0.981 0.228
0.519 0.474 0.943
0.519 0.526 0.443
0.750 0.039 0.991
0.750 0.961 0.491
0.769 0.469 0.765
0.769 0.531 0.265
0.992 0.499 0.486
0.992 0.501 0.986
```

Properties
The total energy is -12.374 eV per atom. As for the formation enthalpy at 0 K: -0.65 eV/atom. As for the space group: Pc, No. 7.

- Number 1 is which compound?
  TiNCl